one.
This record from Materials Project describes a geometry-optimized VCr2O4 structure. The functional is GGA+U.

## Properties
Calculated density ... 4.59 g/cm3
Magnetization ... 9.00 μB per formula unit
Space group ... Imma, No. 74

a = 6.019 Å, b = 6.261 Å, c = 6.015 Å
α = 58.68°, β = 118.52°, γ = 121.39°
Positions (direct):
V 0.874 0.624 0.626
V 0.126 0.377 0.374
Cr 0.500 0.500 0.000
Cr 0.500 0.000 0.000
Cr 0.500 0.000 0.500
Cr 0.000 0.000 0.000
O 0.280 0.246 0.788
O 0.746 0.208 0.755
O 0.254 0.216 0.246
O 0.712 0.247 0.220
O 0.288 0.753 0.780
O 0.746 0.784 0.754
O 0.254 0.792 0.246
O 0.720 0.754 0.212

---

two.
This record from Materials Project describes a geometry-optimized VCr2O4 structure. The functional is GGA+U.

## Properties
Calculated density ... 4.63 g/cm3
Magnetization ... 9.00 μB per formula unit
Space group ... Fd-3m, No. 227

a = 6.056 Å, b = 6.056 Å, c = 6.056 Å
α = 60.00°, β = 60.00°, γ = 60.00°
Positions (direct):
V 0.750 0.750 0.750
V 0.500 0.500 0.500
Cr 0.625 0.125 0.125
Cr 0.125 0.125 0.125
Cr 0.125 0.125 0.625
Cr 0.125 0.625 0.125
O 0.904 0.365 0.365
O 0.885 0.885 0.346
O 0.365 0.904 0.365
O 0.365 0.365 0.365
O 0.885 0.885 0.885
O 0.885 0.346 0.885
O 0.365 0.365 0.904
O 0.346 0.885 0.885

---

So which one wins? Going from most stable to least: one, two.